# 1
A relaxed KBO2 crystal. Source: Materials Project, functional r2SCAN.

As for the formation enthalpy at 0 K: -2.475 eV per atom.

Structure (POSCAR):
```
KBO2
1.0
6.378 3.682 2.404
-6.378 3.682 2.404
0.000 -7.364 2.404
K B O
6 6 12
Direct
0.188 0.750 0.312 K
0.250 0.688 0.812 K
0.312 0.188 0.750 K
0.688 0.812 0.250 K
0.750 0.312 0.188 K
0.812 0.250 0.688 K
0.137 0.250 0.363 B
0.250 0.363 0.137 B
0.363 0.137 0.250 B
0.637 0.863 0.750 B
0.750 0.637 0.863 B
0.863 0.750 0.637 B
0.033 0.250 0.467 O
0.142 0.358 0.250 O
0.250 0.142 0.358 O
0.250 0.467 0.033 O
0.358 0.250 0.142 O
0.467 0.033 0.250 O
0.533 0.967 0.750 O
0.642 0.750 0.858 O
0.750 0.533 0.967 O
0.750 0.858 0.642 O
0.858 0.642 0.750 O
0.967 0.750 0.533 O
```

# 2
A relaxed K3BS3O12 crystal. Source: Materials Project, functional r2SCAN.

As for the formation enthalpy at 0 K: -1.928 eV per atom.

Structure (POSCAR):
```
K3BS3O12
1.0
-3.508 7.122 11.244
3.508 -7.122 11.244
3.508 7.122 -11.244
K B S O
12 4 12 48
Direct
0.057 0.750 0.807 K
0.063 0.821 0.526 K
0.205 0.462 0.026 K
0.295 0.321 0.257 K
0.437 0.962 0.757 K
0.443 0.250 0.693 K
0.557 0.750 0.307 K
0.563 0.038 0.243 K
0.705 0.679 0.743 K
0.795 0.538 0.974 K
0.937 0.179 0.474 K
0.943 0.250 0.193 K
0.167 0.917 0.250 B
0.333 0.583 0.750 B
0.667 0.417 0.250 B
0.833 0.083 0.750 B
0.037 0.306 0.028 S
0.186 0.250 0.436 S
0.222 0.991 0.528 S
0.278 0.806 0.769 S
0.314 0.750 0.064 S
0.463 0.491 0.269 S
0.537 0.509 0.731 S
0.686 0.250 0.936 S
0.722 0.194 0.231 S
0.778 0.009 0.472 S
0.814 0.750 0.564 S
0.963 0.694 0.972 S
0.020 0.553 0.926 O
0.048 0.898 0.178 O
0.068 0.368 0.195 O
0.106 0.377 0.534 O
0.127 0.094 0.574 O
0.128 0.246 0.963 O
0.157 0.123 0.230 O
0.173 0.868 0.800 O
0.198 0.780 0.069 O
0.211 0.129 0.431 O
0.218 0.836 0.463 O
0.220 0.870 0.322 O
0.280 0.602 0.650 O
0.282 0.746 0.618 O
0.289 0.720 0.918 O
0.302 0.371 0.582 O
0.327 0.127 0.695 O
0.343 0.573 0.966 O
0.372 0.336 0.118 O
0.373 0.947 0.967 O
0.394 0.927 0.270 O
0.432 0.627 0.300 O
0.452 0.630 0.850 O
0.480 0.406 0.533 O
0.520 0.594 0.467 O
0.548 0.370 0.150 O
0.568 0.373 0.700 O
0.606 0.073 0.730 O
0.627 0.053 0.033 O
0.628 0.664 0.882 O
0.657 0.427 0.034 O
0.673 0.873 0.305 O
0.698 0.629 0.418 O
0.711 0.280 0.082 O
0.718 0.254 0.382 O
0.720 0.398 0.350 O
0.780 0.130 0.678 O
0.782 0.164 0.537 O
0.789 0.871 0.569 O
0.802 0.220 0.931 O
0.827 0.132 0.200 O
0.843 0.877 0.770 O
0.872 0.754 0.037 O
0.873 0.906 0.426 O
0.894 0.623 0.466 O
0.932 0.632 0.805 O
0.952 0.102 0.822 O
0.980 0.447 0.074 O
```

# 3
A relaxed K3BS3 crystal. Source: Materials Project, functional r2SCAN.

As for the formation enthalpy at 0 K: -1.216 eV per atom.

Structure (POSCAR):
```
K3BS3
1.0
10.187 0.000 0.000
0.000 6.217 0.000
-4.730 0.000 11.706
K B S
12 4 12
Direct
0.032 0.226 0.408 K
0.032 0.274 0.908 K
0.264 0.667 0.889 K
0.264 0.833 0.389 K
0.400 0.057 0.150 K
0.400 0.443 0.650 K
0.600 0.557 0.350 K
0.600 0.943 0.850 K
0.736 0.167 0.611 K
0.736 0.333 0.111 K
0.968 0.726 0.092 K
0.968 0.774 0.592 K
0.231 0.128 0.740 B
0.231 0.372 0.240 B
0.769 0.628 0.760 B
0.769 0.872 0.260 B
0.077 0.203 0.168 S
0.077 0.297 0.668 S
0.287 0.576 0.160 S
0.287 0.924 0.660 S
0.338 0.171 0.892 S
0.338 0.329 0.392 S
0.662 0.671 0.608 S
0.662 0.829 0.108 S
0.713 0.076 0.340 S
0.713 0.424 0.840 S
0.923 0.703 0.332 S
0.923 0.797 0.832 S
```

# 4
A relaxed LaB6 crystal. Source: Materials Project, functional r2SCAN.

As for the formation enthalpy at 0 K: -0.625 eV per atom.

Structure (POSCAR):
```
LaB6
1.0
4.153 0.000 0.000
0.000 4.153 0.000
0.000 0.000 4.153
La B
1 6
Direct
0.000 0.000 0.000 La
0.200 0.500 0.500 B
0.500 0.200 0.500 B
0.500 0.500 0.200 B
0.500 0.500 0.800 B
0.500 0.800 0.500 B
0.800 0.500 0.500 B
```